(1)
Material: LaSiPt
Method: DFT, r²SCAN
State: relaxed

The structure in POSCAR format:
```
LaSiPt
1.0
-2.135 2.135 7.306
2.135 -2.135 7.306
2.135 2.135 -7.306
Si La Pt
2 2 2
direct
0.000 0.000 0.000 Si
0.750 0.250 0.500 Si
0.580 0.580 0.000 La
0.330 0.830 0.500 La
0.167 0.167 0.000 Pt
0.917 0.417 0.500 Pt
```

Output
Total DFT energy (no corrections)   -187.61 eV/cell
Total magnetization   0.00 μB/f.u.
E_form   -1.266 eV/atom

(2)
Material: CaSmMn4O12
Method: DFT, r²SCAN
State: relaxed

The structure in POSCAR format:
```
CaSmMn4O12
1.0
5.238 0.000 0.000
0.000 5.238 0.000
0.000 0.000 7.423
Mn O Sm Ca
4 12 1 1
direct
0.000 0.500 0.753 Mn
0.500 0.000 0.247 Mn
0.500 0.000 0.753 Mn
0.000 0.500 0.247 Mn
0.246 0.246 0.257 O
0.500 0.000 0.500 O
0.754 0.754 0.743 O
0.500 0.000 0.000 O
0.000 0.500 0.000 O
0.754 0.754 0.257 O
0.000 0.500 0.500 O
0.754 0.246 0.257 O
0.246 0.754 0.257 O
0.246 0.246 0.743 O
0.754 0.246 0.743 O
0.246 0.754 0.743 O
0.000 0.000 0.500 Sm
0.500 0.500 0.000 Ca
```

Output
Total DFT energy (no corrections)   -203.65 eV/cell
Total magnetization   14.99 μB/f.u.
E_form   -2.027 eV/atom

(3)
Material: HgIBr
Method: DFT, r²SCAN
State: relaxed

The structure in POSCAR format:
```
HgIBr
1.0
-0.923 -3.276 2.730
2.302 -1.524 -3.378
11.223 2.334 6.597
I Br Hg
2 2 2
direct
0.105 0.895 0.134 I
0.895 0.105 0.634 I
0.432 0.568 0.377 Br
0.568 0.432 0.877 Br
0.830 0.170 0.001 Hg
0.170 0.830 0.501 Hg
```

Output
Total DFT energy (no corrections)   -177.05 eV/cell
Total magnetization   0.00 μB/f.u.
E_form   -0.446 eV/atom

(4)
Material: I
Method: DFT, r²SCAN
State: relaxed

The structure in POSCAR format:
```
I
1.0
0.000 -4.629 0.000
-3.840 2.315 0.000
0.000 0.000 -9.796
I
4
direct
0.659 0.000 0.880 I
0.841 0.000 0.380 I
0.341 0.000 0.120 I
0.159 0.000 0.620 I
```

Output
Total DFT energy (no corrections)   -98.23 eV/cell
Total magnetization   0.00 μB/f.u.
E_form   0.000 eV/atom

Q: The lowest total DFT energy (no corrections) belongs to which entry?
A: CaSmMn4O12

Q: Among the records above, which one has the highest E_form?
A: I

Q: The highest total DFT energy (no corrections) belongs to which entry?
A: I